[1]
First-principles (GGA-PBE) data for crystalline Na2Hf4Si3S3O24 at its relaxed geometry, as listed in the Materials Project.

Cell and atoms, written as POSCAR:
```
Na2Hf4Si3S3O24
1.0
-0.243 -4.479 7.728
-0.976 -4.373 -7.714
23.135 -2.929 -1.106
Na Hf Si S O
6 12 9 9 72
direct
0.972 0.967 0.494
0.009 0.980 0.001
0.642 0.302 0.827
0.675 0.313 0.336
0.304 0.657 0.177
0.357 0.658 0.663
0.005 0.004 0.355
0.012 0.011 0.851
0.988 0.001 0.646
0.009 0.997 0.150
0.654 0.333 0.688
0.684 0.336 0.192
0.664 0.335 0.980
0.678 0.346 0.476
0.320 0.675 0.022
0.349 0.680 0.517
0.321 0.676 0.314
0.348 0.683 0.809
0.296 0.005 0.251
0.012 0.291 0.250
0.289 0.292 0.749
0.716 0.009 0.751
0.664 0.625 0.584
0.952 0.628 0.083
0.329 0.960 0.916
0.629 0.960 0.416
0.046 0.673 0.418
0.711 0.712 0.249
0.000 0.711 0.750
0.956 0.336 0.584
0.375 0.043 0.583
0.668 0.045 0.082
0.377 0.335 0.082
0.621 0.666 0.918
0.043 0.378 0.917
0.335 0.380 0.417
0.200 0.025 0.306
0.817 0.790 0.301
0.977 0.171 0.305
0.203 0.173 0.806
0.975 0.791 0.802
0.825 0.021 0.809
0.801 0.973 0.695
0.175 0.194 0.693
0.027 0.817 0.699
0.794 0.816 0.197
0.017 0.193 0.191
0.176 0.971 0.192
0.870 0.351 0.636
0.482 0.124 0.636
0.649 0.510 0.640
0.856 0.508 0.138
0.637 0.121 0.134
0.480 0.357 0.133
0.459 0.308 0.030
0.840 0.528 0.025
0.681 0.148 0.031
0.458 0.145 0.533
0.680 0.523 0.528
0.850 0.309 0.532
0.535 0.684 0.969
0.150 0.460 0.969
0.311 0.843 0.973
0.540 0.841 0.473
0.315 0.463 0.469
0.159 0.685 0.475
0.129 0.638 0.361
0.511 0.860 0.360
0.360 0.482 0.365
0.122 0.480 0.866
0.351 0.861 0.861
0.515 0.639 0.866
0.030 0.845 0.412
0.822 0.987 0.410
0.178 0.207 0.413
0.022 0.201 0.913
0.154 0.975 0.913
0.794 0.820 0.913
0.975 0.178 0.588
0.203 0.025 0.590
0.840 0.815 0.589
0.972 0.819 0.086
0.823 0.030 0.086
0.201 0.180 0.085
0.702 0.183 0.743
0.484 0.318 0.745
0.847 0.538 0.744
0.694 0.538 0.242
0.842 0.319 0.244
0.482 0.180 0.240
0.639 0.508 0.923
0.868 0.358 0.925
0.502 0.151 0.924
0.634 0.144 0.425
0.487 0.356 0.424
0.852 0.501 0.423
0.363 0.492 0.073
0.145 0.644 0.077
0.515 0.867 0.075
0.356 0.867 0.580
0.490 0.642 0.580
0.128 0.490 0.579
0.321 0.836 0.254
0.539 0.692 0.254
0.187 0.477 0.255
0.301 0.479 0.760
0.154 0.692 0.757
0.521 0.838 0.756
```

Output
E ... -7.78 eV per atom
Formation enthalpy at 0 K ... -2967 meV per atom
SG ... P1 (1)
Corrected total energy (MP2020 scheme) ... -8.242 eV/atom

---

[2]
First-principles (GGA-PBE) data for crystalline Na2Hf2Si2SO12 at its relaxed geometry, as listed in the Materials Project.

Cell and atoms, written as POSCAR:
```
Na2Hf2Si2SO12
1.0
-8.104 0.602 -3.970
1.851 -7.036 5.373
-7.958 11.717 18.274
Na Hf Si S O
12 12 12 6 72
direct
0.994 0.626 0.253
0.374 0.006 0.753
0.661 0.960 0.586
0.040 0.339 0.086
0.327 0.293 0.920
0.707 0.673 0.420
0.011 0.989 0.501
0.011 0.989 0.001
0.677 0.323 0.834
0.677 0.323 0.334
0.344 0.656 0.167
0.344 0.656 0.667
0.984 0.995 0.353
0.005 0.016 0.853
0.000 0.999 0.647
0.001 0.000 0.147
0.650 0.328 0.686
0.672 0.350 0.186
0.666 0.333 0.981
0.667 0.334 0.481
0.317 0.661 0.020
0.339 0.683 0.520
0.333 0.666 0.314
0.334 0.667 0.814
0.705 0.711 0.250
0.000 0.292 0.249
0.289 0.295 0.750
0.708 0.000 0.749
0.371 0.045 0.583
0.666 0.625 0.582
0.955 0.629 0.083
0.375 0.334 0.082
0.038 0.378 0.916
0.333 0.959 0.915
0.622 0.962 0.416
0.041 0.667 0.415
0.291 0.003 0.251
0.997 0.709 0.751
0.958 0.336 0.584
0.664 0.042 0.084
0.625 0.670 0.917
0.330 0.375 0.417
0.213 0.028 0.302
0.827 0.792 0.307
0.982 0.174 0.305
0.208 0.173 0.807
0.972 0.787 0.802
0.826 0.018 0.805
0.794 0.973 0.690
0.170 0.194 0.694
0.027 0.817 0.699
0.806 0.830 0.194
0.027 0.206 0.190
0.183 0.973 0.199
0.880 0.361 0.636
0.494 0.125 0.641
0.649 0.508 0.638
0.875 0.506 0.141
0.639 0.120 0.136
0.492 0.351 0.138
0.461 0.307 0.024
0.837 0.527 0.028
0.694 0.150 0.032
0.473 0.163 0.528
0.693 0.539 0.524
0.850 0.306 0.532
0.546 0.694 0.969
0.160 0.458 0.974
0.316 0.841 0.972
0.542 0.840 0.474
0.306 0.454 0.469
0.159 0.684 0.472
0.127 0.640 0.357
0.504 0.860 0.361
0.360 0.484 0.365
0.140 0.496 0.861
0.360 0.873 0.857
0.516 0.640 0.865
0.023 0.839 0.410
0.810 0.973 0.411
0.184 0.204 0.410
0.027 0.190 0.911
0.161 0.977 0.910
0.796 0.816 0.910
0.969 0.176 0.589
0.183 0.022 0.590
0.829 0.821 0.589
0.978 0.817 0.090
0.824 0.031 0.089
0.179 0.171 0.089
0.690 0.173 0.744
0.476 0.306 0.744
0.850 0.537 0.743
0.694 0.524 0.244
0.827 0.310 0.244
0.463 0.150 0.243
0.635 0.510 0.922
0.849 0.355 0.923
0.495 0.154 0.922
0.645 0.151 0.423
0.490 0.365 0.422
0.846 0.505 0.422
0.357 0.506 0.077
0.143 0.640 0.077
0.517 0.870 0.076
0.360 0.857 0.577
0.494 0.643 0.577
0.130 0.483 0.576
0.302 0.843 0.256
0.516 0.688 0.257
0.162 0.488 0.255
0.312 0.484 0.757
0.157 0.698 0.756
0.512 0.838 0.755
```

Output
E ... -7.71 eV per atom
Formation enthalpy at 0 K ... -3046 meV per atom
Corrected total energy (MP2020 scheme) ... -8.147 eV/atom

---

[3]
First-principles (GGA-PBE) data for crystalline Na10Hf8Si9S3O48 at its relaxed geometry, as listed in the Materials Project.

Cell and atoms, written as POSCAR:
```
Na10Hf8Si9S3O48
1.0
-16.528 5.292 -5.383
4.426 -6.490 -4.609
-9.564 -16.029 13.414
Na Hf Si S O
30 24 27 9 144
direct
0.322 0.999 0.249
0.822 0.000 0.250
0.184 0.989 0.747
0.683 0.995 0.747
0.018 0.706 0.580
0.518 0.706 0.580
0.018 0.331 0.080
0.516 0.326 0.081
0.484 0.665 0.914
0.348 0.030 0.916
0.852 0.043 0.913
0.165 0.306 0.920
0.485 0.306 0.414
0.986 0.307 0.414
0.166 0.028 0.419
0.666 0.028 0.419
0.349 0.667 0.416
0.849 0.667 0.416
0.002 0.002 0.501
0.502 0.002 0.501
0.007 0.002 0.002
0.507 0.012 0.999
0.343 0.343 0.832
0.846 0.347 0.832
0.340 0.352 0.331
0.840 0.352 0.331
0.173 0.659 0.166
0.673 0.658 0.168
0.178 0.678 0.667
0.678 0.676 0.665
0.995 0.996 0.352
0.495 0.996 0.352
0.997 0.995 0.851
0.496 0.998 0.854
0.994 0.982 0.647
0.494 0.984 0.647
0.996 0.008 0.147
0.496 0.009 0.147
0.333 0.333 0.686
0.833 0.334 0.686
0.330 0.337 0.186
0.831 0.338 0.186
0.327 0.320 0.980
0.829 0.319 0.981
0.328 0.334 0.481
0.829 0.334 0.481
0.173 0.673 0.018
0.668 0.668 0.021
0.174 0.676 0.519
0.674 0.676 0.519
0.165 0.653 0.314
0.666 0.653 0.314
0.166 0.670 0.816
0.662 0.673 0.812
0.353 0.705 0.250
0.853 0.705 0.250
0.000 0.298 0.250
0.500 0.298 0.250
0.999 0.702 0.750
0.497 0.704 0.751
0.353 0.000 0.751
0.853 0.000 0.751
0.185 0.039 0.585
0.685 0.039 0.585
0.330 0.622 0.584
0.830 0.622 0.584
0.330 0.038 0.085
0.831 0.038 0.085
0.186 0.333 0.083
0.686 0.332 0.083
0.312 0.664 0.915
0.020 0.378 0.918
0.523 0.376 0.918
0.162 0.953 0.917
0.666 0.959 0.917
0.312 0.960 0.414
0.812 0.960 0.414
0.165 0.375 0.418
0.665 0.374 0.418
0.022 0.666 0.418
0.522 0.666 0.418
0.145 0.999 0.249
0.645 0.999 0.249
0.144 0.291 0.749
0.644 0.291 0.750
0.479 0.331 0.583
0.979 0.331 0.583
0.478 0.625 0.083
0.978 0.624 0.083
0.811 0.664 0.916
0.107 0.023 0.303
0.607 0.023 0.303
0.409 0.792 0.310
0.909 0.792 0.310
0.486 0.177 0.307
0.986 0.176 0.307
0.105 0.185 0.803
0.605 0.183 0.802
0.489 0.800 0.808
0.989 0.805 0.805
0.410 0.028 0.809
0.909 0.026 0.810
0.404 0.985 0.695
0.904 0.984 0.695
0.092 0.206 0.698
0.593 0.214 0.697
0.016 0.825 0.692
0.517 0.828 0.693
0.404 0.831 0.196
0.904 0.830 0.196
0.013 0.204 0.192
0.513 0.206 0.192
0.093 0.979 0.198
0.593 0.979 0.198
0.436 0.356 0.634
0.936 0.356 0.634
0.244 0.130 0.642
0.744 0.129 0.642
0.324 0.504 0.639
0.824 0.504 0.639
0.438 0.514 0.134
0.936 0.515 0.135
0.323 0.136 0.142
0.821 0.132 0.142
0.247 0.360 0.138
0.747 0.361 0.139
0.231 0.313 0.024
0.736 0.315 0.026
0.429 0.550 0.030
0.925 0.545 0.031
0.350 0.162 0.027
0.850 0.162 0.027
0.232 0.151 0.526
0.733 0.151 0.526
0.351 0.542 0.525
0.850 0.542 0.525
0.428 0.307 0.530
0.928 0.307 0.530
0.270 0.703 0.972
0.772 0.694 0.968
0.079 0.457 0.976
0.578 0.464 0.977
0.150 0.835 0.973
0.653 0.833 0.971
0.269 0.834 0.470
0.769 0.834 0.470
0.145 0.461 0.473
0.646 0.461 0.473
0.079 0.699 0.477
0.579 0.699 0.477
0.068 0.633 0.363
0.568 0.633 0.363
0.253 0.880 0.357
0.753 0.880 0.357
0.186 0.498 0.361
0.686 0.498 0.361
0.068 0.492 0.861
0.571 0.501 0.863
0.183 0.876 0.859
0.685 0.875 0.859
0.250 0.626 0.860
0.760 0.640 0.864
0.013 0.836 0.410
0.513 0.836 0.410
0.407 0.979 0.410
0.907 0.979 0.410
0.084 0.184 0.409
0.584 0.184 0.409
0.008 0.184 0.910
0.508 0.184 0.911
0.084 0.992 0.910
0.581 0.971 0.910
0.407 0.835 0.910
0.896 0.824 0.911
0.490 0.183 0.590
0.989 0.183 0.590
0.091 0.023 0.589
0.591 0.023 0.589
0.418 0.810 0.589
0.918 0.809 0.589
0.491 0.796 0.091
0.988 0.794 0.091
0.418 0.026 0.089
0.919 0.026 0.089
0.092 0.160 0.089
0.592 0.162 0.089
0.337 0.163 0.745
0.836 0.161 0.745
0.229 0.300 0.745
0.730 0.303 0.744
0.415 0.516 0.743
0.914 0.516 0.743
0.342 0.516 0.244
0.842 0.516 0.244
0.410 0.300 0.244
0.910 0.299 0.244
0.232 0.153 0.245
0.732 0.153 0.245
0.326 0.501 0.924
0.824 0.519 0.924
0.429 0.363 0.923
0.924 0.353 0.923
0.250 0.142 0.923
0.753 0.144 0.923
0.326 0.150 0.424
0.825 0.150 0.424
0.251 0.356 0.424
0.751 0.356 0.424
0.428 0.497 0.424
0.928 0.496 0.424
0.168 0.493 0.079
0.670 0.494 0.078
0.061 0.633 0.078
0.563 0.635 0.078
0.246 0.852 0.079
0.748 0.851 0.076
0.169 0.844 0.579
0.669 0.844 0.579
0.246 0.639 0.579
0.746 0.639 0.579
0.062 0.490 0.579
0.562 0.490 0.579
0.156 0.850 0.254
0.657 0.850 0.254
0.263 0.706 0.255
0.763 0.706 0.255
0.084 0.486 0.255
0.584 0.486 0.255
0.154 0.460 0.755
0.657 0.463 0.757
0.086 0.692 0.755
0.586 0.693 0.755
0.258 0.830 0.755
0.759 0.828 0.756
```

Output
E ... -7.68 eV per atom
Formation enthalpy at 0 K ... -3085 meV per atom
SG ... P1 (1)
Corrected total energy (MP2020 scheme) ... -8.106 eV/atom